(1)
Entry from the Materials Project: a relaxed structure of AlSi9Ni16 (PBE).

CIF file:
```
data_AlSi9Ni16
_cell_length_a 12.078
_cell_length_b 8.553
_cell_length_c 11.286
_cell_angle_alpha 90.00
_cell_angle_beta 90.00
_cell_angle_gamma 90.00
_symmetry_space_group_name_H-M 'A m a 2'
_symmetry_Int_Tables_number 40
loop_
_symmetry_equiv_pos_as_xyz
'x,y,z'
'-x,-y,z'
'-x+1/2,y,z'
'x+1/2,-y,z'
'x,y+1/2,z+1/2'
'-x,-y+1/2,z+1/2'
'-x+1/2,y+1/2,z+1/2'
'x+1/2,-y+1/2,z+1/2'
loop_
_atom_site_label
_atom_site_fract_x
_atom_site_fract_y
_atom_site_fract_z
Al1 0.250 0.034 0.000
Si1 0.094 0.087 0.182
Si2 0.101 0.305 0.995
Si3 0.106 0.309 0.371
Si4 0.143 0.158 0.683
Si5 0.250 0.027 0.374
Ni1 0.058 0.368 0.799
Ni2 0.059 0.373 0.183
Ni3 0.060 0.366 0.566
Ni4 0.076 0.090 0.877
Ni5 0.078 0.086 0.488
Ni6 0.250 0.216 0.205
Ni7 0.250 0.244 0.500
Ni8 0.250 0.254 0.870
Ni9 0.250 0.420 0.689
Ni10 0.250 0.449 0.070
Ni11 0.250 0.467 0.293
```

Output
Final energy = -636.5 eV/cell
Density = 6.94 g cm⁻³

(2)
Entry from the Materials Project: a relaxed structure of Sm4Al23Ni6 (PBE).

CIF file:
```
data_Sm4Al23Ni6
_cell_length_a 15.942
_cell_length_b 4.108
_cell_length_c 18.336
_cell_angle_alpha 90.00
_cell_angle_beta 113.09
_cell_angle_gamma 90.00
_symmetry_space_group_name_H-M 'C 1 2/m 1'
_symmetry_Int_Tables_number 12
loop_
_symmetry_equiv_pos_as_xyz
'x,y,z'
'-x,-y,-z'
'-x,y,-z'
'x,-y,z'
'x+1/2,y+1/2,z'
'-x+1/2,-y+1/2,-z'
'-x+1/2,y+1/2,-z'
'x+1/2,-y+1/2,z'
loop_
_atom_site_label
_atom_site_fract_x
_atom_site_fract_y
_atom_site_fract_z
Sm1 0.071 0.000 0.407
Sm2 0.235 0.000 0.782
Al1 0.000 0.500 0.500
Al2 0.032 0.000 0.782
Al3 0.067 0.000 0.940
Al4 0.082 0.500 0.686
Al5 0.090 0.500 0.050
Al6 0.090 0.500 0.280
Al7 0.109 0.000 0.162
Al8 0.123 0.000 0.595
Al9 0.144 0.500 0.858
Al10 0.202 0.500 0.521
Al11 0.224 0.000 0.324
Al12 0.245 0.000 0.954
Ni1 0.008 0.500 0.136
Ni2 0.190 0.000 0.067
Ni3 0.227 0.500 0.398
```

Output
Final energy = -313.6 eV/cell
Density = 4.73 g cm⁻³

(3)
Entry from the Materials Project: a relaxed structure of Sm3AlNi8 (PBE).

CIF file:
```
data_Sm3AlNi8
_cell_length_a 5.1190
_cell_length_b 5.1190
_cell_length_c 16.2457
_cell_angle_alpha 90.00
_cell_angle_beta 90.00
_cell_angle_gamma 120.00
_symmetry_space_group_name_H-M 'P 63/m m c'
_symmetry_Int_Tables_number 194
_symmetry_space_group_name_Hall '-P 6c 2c'
loop_
_atom_site_label
_atom_site_fract_x
_atom_site_fract_y
_atom_site_fract_z
Sm1 0.3333 0.6667 0.0413
Sm2 0.3333 0.6667 0.2500
Al1 0.3333 0.6667 0.7500
Ni1 0.0000 0.0000 0.0000
Ni2 0.0000 0.0000 0.2500
Ni3 0.1657 0.3314 0.6274
```

Output
Final energy = -138.3 eV/cell
Density = 8.54 g cm⁻³

(4)
Entry from the Materials Project: a relaxed structure of SmAlNi (PBE).

CIF file:
```
data_SmAlNi
_cell_length_a 8.520
_cell_length_b 5.472
_cell_length_c 9.350
_cell_angle_alpha 90.00
_cell_angle_beta 90.00
_cell_angle_gamma 90.00
_symmetry_space_group_name_H-M 'A m m 2'
_symmetry_Int_Tables_number 38
loop_
_symmetry_equiv_pos_as_xyz
'x,y,z'
'-x,-y,z'
'-x,y,z'
'x,-y,z'
'x,y+1/2,z+1/2'
'-x,-y+1/2,z+1/2'
'-x,y+1/2,z+1/2'
'x,-y+1/2,z+1/2'
loop_
_atom_site_label
_atom_site_fract_x
_atom_site_fract_y
_atom_site_fract_z
Sm1 0.176 0.000 0.000
Sm2 0.293 0.000 0.337
Al1 0.240 0.000 0.673
Al2 0.500 0.247 0.085
Ni1 0.000 0.000 0.509
Ni2 0.000 0.248 0.753
Ni3 0.500 0.000 0.838
```

Output
Final energy = -124.9 eV/cell
Density = 7.19 g cm⁻³

(5)
Entry from the Materials Project: a relaxed structure of SmAl4Ni (PBE).

CIF file:
```
data_SmAl4Ni
_cell_length_a 4.100
_cell_length_b 15.676
_cell_length_c 6.609
_cell_angle_alpha 90.00
_cell_angle_beta 90.00
_cell_angle_gamma 90.00
_symmetry_space_group_name_H-M 'C m c m'
_symmetry_Int_Tables_number 63
_symmetry_space_group_name_Hall '-C 2c 2'
loop_
_atom_site_label
_atom_site_fract_x
_atom_site_fract_y
_atom_site_fract_z
Sm1 0.000 0.115 0.250
Al1 0.000 0.078 0.750
Al2 0.000 0.310 0.053
Al3 0.000 0.500 0.000
Ni1 0.000 0.225 0.750
```

Output
Final energy = -115.3 eV/cell
Density = 4.96 g cm⁻³

(6)
Entry from the Materials Project: a relaxed structure of SmAl2Ni (PBE).

CIF file:
```
data_SmAl2Ni
_cell_length_a 4.089
_cell_length_b 10.739
_cell_length_c 6.923
_cell_angle_alpha 90.00
_cell_angle_beta 90.00
_cell_angle_gamma 90.00
_symmetry_space_group_name_H-M 'C m c m'
_symmetry_Int_Tables_number 63
_symmetry_space_group_name_Hall '-C 2c 2'
loop_
_atom_site_label
_atom_site_fract_x
_atom_site_fract_y
_atom_site_fract_z
Sm1 0.000 0.057 0.250
Al1 0.000 0.334 0.056
Ni1 0.000 0.216 0.750
```

Output
Final energy = -81.6 eV/cell
Density = 5.75 g cm⁻³

(7)
Entry from the Materials Project: a relaxed structure of SmAlNi (PBE).

CIF file:
```
data_SmAlNi
_cell_length_a 8.739
_cell_length_b 5.505
_cell_length_c 9.200
_cell_angle_alpha 90.00
_cell_angle_beta 90.00
_cell_angle_gamma 90.00
_symmetry_space_group_name_H-M 'A m m 2'
_symmetry_Int_Tables_number 38
loop_
_symmetry_equiv_pos_as_xyz
'x,y,z'
'-x,-y,z'
'-x,y,z'
'x,-y,z'
'x,y+1/2,z+1/2'
'-x,-y+1/2,z+1/2'
'-x,y+1/2,z+1/2'
'x,-y+1/2,z+1/2'
loop_
_atom_site_label
_atom_site_fract_x
_atom_site_fract_y
_atom_site_fract_z
Sm1 0.184 0.000 0.000
Sm2 0.288 0.000 0.327
Al1 0.000 0.000 0.537
Al2 0.500 0.000 0.829
Al3 0.500 0.246 0.583
Ni1 0.000 0.241 0.764
Ni2 0.263 0.000 0.663
```

Output
Final energy = -124.9 eV/cell
Density = 7.08 g cm⁻³

(8)
Entry from the Materials Project: a relaxed structure of Sm2AlNi2 (PBE).

CIF file:
```
data_Sm2AlNi2
_cell_length_a 4.229
_cell_length_b 5.373
_cell_length_c 8.481
_cell_angle_alpha 90.00
_cell_angle_beta 90.00
_cell_angle_gamma 90.00
_symmetry_space_group_name_H-M 'I m m m'
_symmetry_Int_Tables_number 71
_symmetry_space_group_name_Hall '-I 2 2'
loop_
_atom_site_label
_atom_site_fract_x
_atom_site_fract_y
_atom_site_fract_z
Sm1 0.000 0.000 0.202
Al1 0.000 0.500 0.000
Ni1 0.000 0.261 0.500
```

Output
Final energy = -54.2 eV/cell
Density = 7.67 g cm⁻³

(9)
Entry from the Materials Project: a relaxed structure of TaAlNi (PBE).

CIF file:
```
data_TaAlNi
_cell_length_a 7.989
_cell_length_b 5.012
_cell_length_c 8.465
_cell_angle_alpha 90.00
_cell_angle_beta 90.00
_cell_angle_gamma 90.00
_symmetry_space_group_name_H-M 'A m m 2'
_symmetry_Int_Tables_number 38
loop_
_symmetry_equiv_pos_as_xyz
'x,y,z'
'-x,-y,z'
'-x,y,z'
'x,-y,z'
'x,y+1/2,z+1/2'
'-x,-y+1/2,z+1/2'
'-x,y+1/2,z+1/2'
'x,-y+1/2,z+1/2'
loop_
_atom_site_label
_atom_site_fract_x
_atom_site_fract_y
_atom_site_fract_z
Ta1 0.180 0.000 0.000
Ta2 0.301 0.000 0.670
Al1 0.238 0.000 0.330
Al2 0.500 0.242 0.929
Ni1 0.000 0.000 0.508
Ni2 0.000 0.241 0.751
Ni3 0.500 0.000 0.175
```

Output
Final energy = -181.1 eV/cell
Density = 10.45 g cm⁻³

(10)
Entry from the Materials Project: a relaxed structure of Tb3Al2Ni6 (PBE).

CIF file:
```
data_Tb3Al2Ni6
_cell_length_a 8.945
_cell_length_b 8.945
_cell_length_c 8.945
_cell_angle_alpha 90.00
_cell_angle_beta 90.00
_cell_angle_gamma 90.00
_symmetry_space_group_name_H-M 'I m -3 m'
_symmetry_Int_Tables_number 229
_symmetry_space_group_name_Hall '-I 4 2 3'
loop_
_atom_site_label
_atom_site_fract_x
_atom_site_fract_y
_atom_site_fract_z
Tb1 0.000 0.000 0.294
Al1 0.250 0.250 0.250
Ni1 0.000 0.333 0.333
```

Output
Final energy = -248.6 eV/cell
Density = 8.19 g cm⁻³

(11)
Entry from the Materials Project: a relaxed structure of TbAlNi (PBE).

CIF file:
```
data_TbAlNi
_cell_length_a 8.456
_cell_length_b 5.376
_cell_length_c 9.190
_cell_angle_alpha 90.00
_cell_angle_beta 90.00
_cell_angle_gamma 90.00
_symmetry_space_group_name_H-M 'A m m 2'
_symmetry_Int_Tables_number 38
loop_
_symmetry_equiv_pos_as_xyz
'x,y,z'
'-x,-y,z'
'-x,y,z'
'x,-y,z'
'x,y+1/2,z+1/2'
'-x,-y+1/2,z+1/2'
'-x,y+1/2,z+1/2'
'x,-y+1/2,z+1/2'
loop_
_atom_site_label
_atom_site_fract_x
_atom_site_fract_y
_atom_site_fract_z
Tb1 0.175 0.000 0.000
Tb2 0.294 0.000 0.663
Al1 0.239 0.000 0.326
Al2 0.500 0.246 0.916
Ni1 0.000 0.000 0.496
Ni2 0.000 0.249 0.746
Ni3 0.500 0.000 0.162
```

Output
Final energy = -125.4 eV/cell
Density = 7.78 g cm⁻³

(12)
Entry from the Materials Project: a relaxed structure of TbAlNi (PBE).

CIF file:
```
data_TbAlNi
_cell_length_a 7.0699
_cell_length_b 7.0699
_cell_length_c 3.8145
_cell_angle_alpha 90.00
_cell_angle_beta 90.00
_cell_angle_gamma 120.00
_symmetry_space_group_name_H-M 'P -6 2 m'
_symmetry_Int_Tables_number 189
_symmetry_space_group_name_Hall 'P -6 -2'
loop_
_atom_site_label
_atom_site_fract_x
_atom_site_fract_y
_atom_site_fract_z
Tb1 0.0000 0.5827 0.0000
Al1 0.0000 0.2350 0.5000
Ni1 0.0000 0.0000 0.0000
Ni2 0.3333 0.6667 0.5000
```

Output
Final energy = -47.8 eV/cell
Density = 7.38 g cm⁻³

(13)
Entry from the Materials Project: a relaxed structure of TbAlNi (PBE).

CIF file:
```
data_TbAlNi
_cell_length_a 8.528
_cell_length_b 5.345
_cell_length_c 8.990
_cell_angle_alpha 90.00
_cell_angle_beta 90.00
_cell_angle_gamma 90.00
_symmetry_space_group_name_H-M 'A m m 2'
_symmetry_Int_Tables_number 38
loop_
_symmetry_equiv_pos_as_xyz
'x,y,z'
'-x,-y,z'
'-x,y,z'
'x,-y,z'
'x,y+1/2,z+1/2'
'-x,-y+1/2,z+1/2'
'-x,y+1/2,z+1/2'
'x,-y+1/2,z+1/2'
loop_
_atom_site_label
_atom_site_fract_x
_atom_site_fract_y
_atom_site_fract_z
Tb1 0.182 0.000 0.000
Tb2 0.291 0.000 0.329
Al1 0.000 0.000 0.528
Al2 0.500 0.000 0.832
Al3 0.500 0.247 0.583
Ni1 0.000 0.244 0.763
Ni2 0.261 0.000 0.663
```

Output
Final energy = -125.0 eV/cell
Density = 7.93 g cm⁻³

(14)
Entry from the Materials Project: a relaxed structure of Tb2AlNi2 (PBE).

CIF file:
```
data_Tb2AlNi2
_cell_length_a 4.094
_cell_length_b 5.503
_cell_length_c 8.453
_cell_angle_alpha 90.00
_cell_angle_beta 90.00
_cell_angle_gamma 90.00
_symmetry_space_group_name_H-M 'I m m m'
_symmetry_Int_Tables_number 71
_symmetry_space_group_name_Hall '-I 2 2'
loop_
_atom_site_label
_atom_site_fract_x
_atom_site_fract_y
_atom_site_fract_z
Tb1 0.000 0.000 0.206
Al1 0.000 0.500 0.000
Ni1 0.000 0.274 0.500
```

Output
Final energy = -54.5 eV/cell
Density = 8.06 g cm⁻³

(15)
Entry from the Materials Project: a relaxed structure of TbAl3Ni2 (PBE).

CIF file:
```
data_TbAl3Ni2
_cell_length_a 9.0594
_cell_length_b 9.0594
_cell_length_c 4.0605
_cell_angle_alpha 90.00
_cell_angle_beta 90.00
_cell_angle_gamma 120.00
_symmetry_space_group_name_H-M 'P 6/m m m'
_symmetry_Int_Tables_number 191
_symmetry_space_group_name_Hall '-P 6 2'
loop_
_atom_site_label
_atom_site_fract_x
_atom_site_fract_y
_atom_site_fract_z
Tb1 0.0000 0.0000 0.0000
Tb2 0.3333 0.6667 0.5000
Al1 0.0000 0.2960 0.5000
Al2 0.0000 0.5000 0.0000
Ni1 0.1817 0.3634 0.0000
```

Output
Final energy = -94.1 eV/cell
Density = 6.17 g cm⁻³

(16)
Entry from the Materials Project: a relaxed structure of Th2Al15Ni10 (PBE).

CIF file:
```
data_Th2Al15Ni10
_cell_length_a 3.936
_cell_length_b 11.140
_cell_length_c 18.293
_cell_angle_alpha 90.00
_cell_angle_beta 90.00
_cell_angle_gamma 90.00
_symmetry_space_group_name_H-M 'I m m m'
_symmetry_Int_Tables_number 71
_symmetry_space_group_name_Hall '-I 2 2'
loop_
_atom_site_label
_atom_site_fract_x
_atom_site_fract_y
_atom_site_fract_z
Th1 0.000 0.000 0.228
Al1 0.000 0.000 0.000
Al2 0.000 0.126 0.396
Al3 0.000 0.172 0.086
Al4 0.000 0.305 0.205
Al5 0.000 0.380 0.000
Ni1 0.000 0.279 0.500
Ni2 0.000 0.319 0.336
Ni3 0.000 0.500 0.121
Ni4 0.000 0.500 0.420
```

Output
Final energy = -285.7 eV/cell
Density = 6.03 g cm⁻³

(17)
Entry from the Materials Project: a relaxed structure of Ti3AlNi12 (PBE).

CIF file:
```
data_Ti3AlNi12
_cell_length_a 5.0731
_cell_length_b 5.0731
_cell_length_c 8.2635
_cell_angle_alpha 90.00
_cell_angle_beta 90.00
_cell_angle_gamma 120.00
_symmetry_space_group_name_H-M 'P -6 m 2'
_symmetry_Int_Tables_number 187
_symmetry_space_group_name_Hall 'P -6 2'
loop_
_atom_site_label
_atom_site_fract_x
_atom_site_fract_y
_atom_site_fract_z
Ti1 0.0000 0.0000 0.0000
Ti2 0.6667 0.3333 0.2483
Al1 0.3333 0.6667 0.5000
Ni1 0.0107 0.5054 0.0000
Ni2 0.1668 0.3336 0.2505
Ni3 0.3240 0.1620 0.5000
```

Output
Final energy = -104.4 eV/cell
Density = 7.89 g cm⁻³